Material: Ca5Ir
Method: DFT, PBE
State: relaxed

The calculated total energy is -81.187 eV/cell. Its crystal system is orthorhombic.

Cell and atoms, written as extended XYZ:
```
24
Lattice="6.799 0.000 0.000 0.000 7.645 0.000 0.000 0.000 15.779" Properties=species:S:1:pos:R:3 pbc="T T T"
Ca 1.043 0.716 3.945
Ca 5.831 1.471 8.940
Ca 5.756 6.929 11.834
Ca 5.597 3.563 2.288
Ca 1.202 4.082 10.178
Ca 2.432 2.351 1.051
Ca 2.356 4.539 3.945
Ca 5.597 3.563 5.601
Ca 2.198 0.260 13.490
Ca 0.968 6.174 1.051
Ca 4.367 5.294 8.940
Ca 4.601 7.386 5.601
Ca 4.367 5.294 14.728
Ca 2.198 0.260 10.178
Ca 0.968 6.174 6.839
Ca 4.443 3.106 11.834
Ca 1.202 4.082 13.490
Ca 2.432 2.351 6.839
Ca 4.601 7.386 2.288
Ca 5.831 1.471 14.728
Ir 0.246 1.831 11.834
Ir 3.154 5.653 11.834
Ir 3.645 1.992 3.945
Ir 6.553 5.815 3.945
```